[1]
Here is an optimized crystal structure of Mn3BPO10 from Materials Project. Energies are from PBE with a Hubbard U.

Energy relative to the lowest polymorph listed for this composition in eV per formula unit: 0.00
Symmetry: No. 62
Energy of formation in kJ/mol of atoms: -185.3

a = 6.3043 Å, b = 7.4749 Å, c = 14.5745 Å
α = 90.00°, β = 90.00°, γ = 90.00°
Closest atoms and distances in Å follow each position.
Element x y z (fractional)
O 0.0506 0.7709 0.9903  1 P 1.58
O 0.0506 0.7291 0.4903  1 P 1.58
O 0.4494 0.7291 0.4903  1 P 1.58
O 0.2500 0.2928 0.1243  2 Mn 1.96
O 0.2500 0.6895 0.8194  1 B 1.49
O 0.7500 0.5171 0.6191  3 Mn 2.01-2.05
O 0.2500 0.4829 0.3809  3 Mn 2.01-2.05
O 0.7500 0.1895 0.6806  1 B 1.49
O 0.7500 0.3105 0.1806  1 B 1.49
O 0.2500 0.5093 0.5837  1 P 1.59
O 0.5748 0.5864 0.2377  1 B 1.47
O 0.7500 0.1598 0.3666  1 P 1.47
O 0.5506 0.2709 0.5097  1 P 1.58
O 0.5748 0.9136 0.7377  1 B 1.47
O 0.2500 0.0671 0.4096  1 B 1.44
O 0.4252 0.4136 0.7623  1 B 1.47
O 0.2500 0.6598 0.1334  1 P 1.47
O 0.5506 0.2291 0.0097  1 P 1.58
O 0.9494 0.2291 0.0097  1 P 1.58
O 0.9494 0.2709 0.5097  1 P 1.58
O 0.4252 0.0864 0.2623  1 B 1.47
O 0.2500 0.4329 0.9096  1 B 1.44
O 0.0748 0.0864 0.2623  1 B 1.47
O 0.4494 0.7709 0.9903  1 P 1.58
O 0.7500 0.3402 0.8666  1 P 1.47
O 0.2500 0.8402 0.6334  1 P 1.47
O 0.7500 0.0093 0.9163  1 P 1.59
O 0.2500 0.9907 0.0837  1 P 1.59
O 0.7500 0.9829 0.1191  3 Mn 2.01-2.05
O 0.0748 0.4136 0.7623  1 B 1.47
O 0.9252 0.9136 0.7377  1 B 1.47
O 0.2500 0.8105 0.3194  1 B 1.49
O 0.2500 0.0171 0.8809  3 Mn 2.01-2.05
O 0.7500 0.7928 0.3757  2 Mn 1.96
O 0.9252 0.5864 0.2377  1 B 1.47
O 0.7500 0.9329 0.5904  1 B 1.44
O 0.7500 0.4907 0.4163  1 P 1.59
O 0.7500 0.5671 0.0904  1 B 1.44
O 0.2500 0.2072 0.6243  2 Mn 1.96
O 0.7500 0.7072 0.8757  2 Mn 1.96
Mn 0.4944 0.8515 0.8557  5 O 1.85-2.07
Mn 0.2500 0.2215 0.9747  4 O 1.84-2.05
Mn 0.2500 0.2785 0.4747  4 O 1.84-2.05
Mn 0.0056 0.8515 0.8557  5 O 1.85-2.07
Mn 0.5056 0.1485 0.1443  5 O 1.85-2.07
Mn 0.5056 0.3515 0.6443  5 O 1.85-2.07
Mn 0.4944 0.6485 0.3557  5 O 1.85-2.07
Mn 0.7500 0.7215 0.5253  4 O 1.84-2.05
Mn 0.7500 0.7785 0.0253  4 O 1.84-2.05
Mn 0.0056 0.6485 0.3557  5 O 1.85-2.07
Mn 0.9944 0.3515 0.6443  5 O 1.85-2.07
Mn 0.9944 0.1485 0.1443  5 O 1.85-2.07
B 0.7500 0.9902 0.6845  4 O 1.44-1.49
B 0.2500 0.0098 0.3155  4 O 1.44-1.49
B 0.7500 0.5098 0.1845  4 O 1.44-1.49
B 0.2500 0.4902 0.8155  4 O 1.44-1.49
P 0.7500 0.2853 0.4446  4 O 1.47-1.59
P 0.2500 0.7853 0.0554  4 O 1.47-1.59
P 0.2500 0.7147 0.5554  4 O 1.47-1.59
P 0.7500 0.2147 0.9446  4 O 1.47-1.59


[2]
Here is an optimized crystal structure of Li2Fe3SnO8 from Materials Project. Energies are from PBE with a Hubbard U.

Energy relative to the lowest polymorph listed for this composition in eV per formula unit: 0.21
Energy of formation in kJ/mol of atoms: -178.1
Total moment in μB/f.u.: 0.00

a = 6.0022 Å, b = 6.1361 Å, c = 8.6592 Å
α = 88.50°, β = 90.39°, γ = 89.08°
Closest atoms and distances in Å follow each position.
Element x y z (fractional)
Sn 0.5009 0.5008 0.9999  6 O 2.08-2.11
Sn 0.0009 0.0008 0.4998  6 O 2.08-2.11
O 0.7688 0.7484 0.4880  1 Li 2.02, 2 Fe 2.04-2.06, 1 Sn 2.10
O 0.2689 0.2482 0.9879  1 Li 2.02, 2 Fe 2.04-2.06, 1 Sn 2.10
O 0.4842 0.0361 0.7607  3 Fe 1.91-2.08
O 0.5043 0.5247 0.2425  1 Li 2.02, 2 Fe 2.04, 1 Sn 2.11
O 0.0161 0.4628 0.7386  3 Fe 1.90-2.08
O 0.0045 0.0249 0.7424  1 Li 2.03, 2 Fe 2.04, 1 Sn 2.11
O 0.2711 0.7574 0.0152  1 Li 1.97, 2 Fe 2.04, 1 Sn 2.08
O 0.9840 0.5361 0.2609  3 Fe 1.90-2.08
O 0.2288 0.7431 0.4854  1 Li 1.96, 2 Fe 2.04-2.05, 1 Sn 2.08
O 0.7710 0.2574 0.5152  1 Li 1.97, 2 Fe 2.04, 1 Sn 2.08
O 0.7317 0.7524 0.0120  1 Li 2.01, 2 Fe 2.05-2.07, 1 Sn 2.09
O 0.7289 0.2430 0.9853  1 Li 1.96, 2 Fe 2.04-2.05, 1 Sn 2.08
O 0.4957 0.4750 0.7577  1 Li 2.02, 2 Fe 2.04-2.05, 1 Sn 2.11
O 0.2316 0.2525 0.5118  1 Li 2.01, 2 Fe 2.05-2.07, 1 Sn 2.09
O 0.5161 0.9627 0.2387  3 Fe 1.90-2.08
O 0.9957 0.9750 0.2577  1 Li 2.02, 2 Fe 2.04, 1 Sn 2.11
Li 0.5059 0.2529 0.3801  4 O 1.97-2.19
Li 0.0059 0.7530 0.8801  4 O 1.97-2.19
Li 0.4929 0.7462 0.6202  4 O 1.96-2.18
Li 0.9930 0.2459 0.1200  4 O 1.96-2.19
Fe 0.4994 0.0007 0.9998  6 O 2.04-2.08
Fe 0.7501 0.7496 0.2503  6 O 1.90-2.07
Fe 0.7501 0.2499 0.7499  6 O 2.04-2.08
Fe 0.9993 0.5007 0.4999  6 O 2.04-2.08
Fe 0.2503 0.2497 0.7501  6 O 1.90-2.07
Fe 0.2500 0.7499 0.2500  6 O 2.04-2.08


[3]
Here is an optimized crystal structure of CrO2 from Materials Project. Energies are from PBE with a Hubbard U.

Symmetry: No. 8
Energy of formation in kJ/mol of atoms: -180.4
Total moment in μB/f.u.: 2.00

a = 5.8063 Å, b = 6.0027 Å, c = 23.3516 Å
α = 59.06°, β = 59.34°, γ = 58.87°
Closest atoms and distances in Å follow each position.
Element x y z (fractional)
O 0.2529 0.2285 0.5632  1 Cr 1.70
O 0.7103 0.2548 0.3200  3 Cr 1.92-1.95
O 0.7564 0.2184 0.4376  1 Cr 1.65
O 0.7489 0.2465 0.8145  1 Cr 1.78
O 0.2902 0.2503 0.3144  2 Cr 1.81-1.87
O 0.2577 0.7458 0.1877  2 Cr 1.87-2.09
O 0.2737 0.2454 0.6839  1 Cr 1.78
O 0.2902 0.7020 0.3144  2 Cr 1.81-1.87
O 0.7174 0.7585 0.0664  1 Cr 1.79
O 0.7195 0.7571 0.1916  2 Cr 1.82-2.01
O 0.2547 0.7820 0.8096  1 Cr 1.68
O 0.7280 0.7627 0.8116  1 Cr 1.79
O 0.2713 0.2333 0.4405  1 Cr 1.77
O 0.2626 0.7503 0.9342  4 Cr 1.91-2.09
O 0.2965 0.2524 0.0616  2 Cr 1.83-1.85
O 0.7518 0.7714 0.6866  1 Cr 1.70
O 0.2830 0.2713 0.9186  2 Cr 1.85
O 0.7251 0.7530 0.3172  3 Cr 1.83-2.02
O 0.7564 0.7747 0.4376  1 Cr 1.65
O 0.7174 0.7677 0.9388  2 Cr 1.84-2.00
O 0.7429 0.2440 0.5673  3 Cr 1.80-2.02
O 0.2904 0.2468 0.1790  2 Cr 1.84
O 0.7176 0.2569 0.0671  3 Cr 1.93-1.95
O 0.2504 0.7579 0.4334  1 Cr 1.75
O 0.2529 0.7656 0.5632  1 Cr 1.70
O 0.2965 0.7050 0.0616  2 Cr 1.83-1.85
O 0.7362 0.7592 0.5613  1 Cr 1.78
O 0.7174 0.2598 0.9388  2 Cr 1.84-2.00
O 0.2630 0.7556 0.6814  3 Cr 1.82-2.02
O 0.7519 0.2304 0.6866  1 Cr 1.70
O 0.2547 0.2247 0.8096  1 Cr 1.68
O 0.7195 0.2572 0.1916  2 Cr 1.82-2.01
Cr 0.1281 0.1295 0.7782  4 O 1.68-1.78
Cr 0.8581 0.8805 0.2202  4 O 1.82-1.87
Cr 0.8561 0.8788 0.9716  4 O 1.79-1.91
Cr 0.4994 0.9997 0.3762  6 O 1.87-2.05
Cr 0.5027 0.0001 0.6242  6 O 2.01-2.05
Cr 0.8749 0.8784 0.7171  4 O 1.70-1.82
Cr 0.4829 0.4905 0.2590  3 O 1.81-1.92
Cr 0.4926 0.4940 0.0048  3 O 1.83-1.93
Cr 0.5026 0.5006 0.6242  6 O 2.01-2.05
Cr 0.4886 0.4883 0.1261  4 O 1.84-2.01
Cr 0.1278 0.1177 0.5342  4 O 1.70-1.80
Cr 0.4950 0.0189 0.8717  4 O 1.85-2.01
Cr 0.4886 0.0185 0.1261  4 O 1.84-2.01
Cr 0.8782 0.8768 0.4670  4 O 1.65-1.78
Cr 0.4994 0.4958 0.3763  6 O 1.87-2.05
Cr 0.4950 0.4995 0.8717  4 O 1.85-2.01


[4]
Here is an optimized crystal structure of Li9Mn2Co5O16 from Materials Project. Energies are from PBE with a Hubbard U.

Energy relative to the lowest polymorph listed for this composition in eV per formula unit: 1.47
Symmetry: No. 1
Energy of formation in kJ/mol of atoms: -175.4
Total moment in μB/f.u.: 12.00

a = 5.0852 Å, b = 5.9073 Å, c = 10.0828 Å
α = 105.84°, β = 101.10°, γ = 90.93°
Closest atoms and distances in Å follow each position.
Element x y z (fractional)
O 0.0964 0.1713 0.8728  1 Co 1.96, 1 Mn 2.00, 3 Li 2.10-2.16
O 0.6505 0.4492 0.8719  1 Mn 1.95, 2 Co 1.96-2.10, 1 Li 2.15
O 0.3394 0.5516 0.1159  2 Co 1.85-2.02, 2 Li 2.03-2.05
O 0.8529 0.8074 0.6302  1 Mn 1.95, 2 Co 1.96-2.07, 1 Li 2.11
O 0.8768 0.8283 0.1171  1 Mn 1.90, 3 Li 2.00-2.06, 1 Co 2.09
O 0.6258 0.4216 0.3698  3 Co 1.97-2.15, 3 Li 2.02-2.12
O 0.1572 0.6675 0.3748  2 Co 1.92-1.94, 3 Li 2.04-2.15
O 0.1479 0.1935 0.3838  1 Co 1.84, 2 Li 2.02-2.04
O 0.3432 0.0754 0.1223  1 Mn 1.89, 2 Li 2.03-2.09, 1 Co 2.03
O 0.0988 0.7021 0.8836  2 Mn 1.98-2.01, 1 Co 2.01, 2 Li 2.14-2.19
O 0.8892 0.3014 0.1092  1 Mn 1.94, 2 Co 1.96-2.11, 1 Li 2.08
O 0.4055 0.5713 0.6237  1 Mn 1.91, 1 Co 1.97
O 0.6446 0.9216 0.8691  2 Mn 1.96-2.00, 1 Co 2.08, 2 Li 2.11-2.18
O 0.3932 0.0730 0.6338  2 Co 1.89-2.09, 2 Li 2.03-2.04
O 0.6235 0.9294 0.3906  2 Co 1.89-2.00, 3 Li 2.03-2.11
O 0.8585 0.3394 0.6365  1 Mn 1.94, 2 Co 2.03-2.11, 2 Li 2.07-2.12
Li 0.0145 0.9864 0.4907  5 O 2.02-2.24
Li 0.4885 0.2589 0.0052  5 O 2.03-2.23
Li 0.4959 0.7569 0.0114  6 O 2.00-2.23
Li 0.2484 0.8726 0.2496  6 O 2.06-2.14
Li 0.2495 0.3672 0.7475  5 O 2.04-2.19
Li 0.7512 0.6393 0.2544  5 O 2.08-2.25
Li 0.7502 0.1144 0.2524  6 O 2.06-2.25
Li 0.2518 0.8812 0.7471  6 O 2.03-2.19
Li 0.9987 0.4912 0.4926  6 O 2.02-2.23
Co 0.2605 0.3817 0.2539  6 O 1.94-2.11
Co 0.5062 0.7432 0.4963  4 O 1.89-1.97
Co 0.9986 0.5094 0.0046  4 O 1.85-2.01
Co 0.7437 0.1263 0.7456  6 O 1.89-2.10
Co 0.4927 0.2355 0.4882  3 O 1.84-2.02
Mn 0.9981 0.0035 0.0055  6 O 1.89-2.01
Mn 0.7482 0.6286 0.7500  6 O 1.91-1.98


[5]
Here is an optimized crystal structure of Li7Co5O12 from Materials Project. Energies are from PBE with a Hubbard U.

Energy relative to the lowest polymorph listed for this composition in eV per formula unit: 1.00
Symmetry: No. 12
Energy of formation in kJ/mol of atoms: -166.1
Total moment in μB/f.u.: 2.00

a = 7.5440 Å, b = 7.5440 Å, c = 11.7020 Å
α = 55.88°, β = 55.88°, γ = 21.98°
Closest atoms and distances in Å follow each position.
Element x y z (fractional)
Li 0.4992 0.4992 0.7541  6 O 2.02-2.19
Li 0.1662 0.1662 0.2509  6 O 2.02-2.19
Li 0.8338 0.8338 0.7491  6 O 2.02-2.19
Li 0.1600 0.1600 0.7581  6 O 2.10-2.20
Li 0.5008 0.5008 0.2459  6 O 2.02-2.19
Li 0.5000 0.5000 0.0000  6 O 2.06-2.07
Li 0.8400 0.8400 0.2419  6 O 2.10-2.20
O 0.6593 0.6593 0.3839  3 Co 1.94-2.01, 2 Li 2.08
O 0.3237 0.3237 0.8975  3 Co 1.95-1.96, 1 Li 2.14
O 0.3311 0.3311 0.1101  2 Co 1.91, 2 Li 2.02-2.06
O 0.6689 0.6689 0.8899  2 Co 1.91, 2 Li 2.02-2.06
O 0.3407 0.3407 0.6161  3 Co 1.94-2.01, 2 Li 2.08
O 0.6692 0.6692 0.6208  3 Co 2.00-2.04, 3 Li 2.07-2.10
O 0.0031 0.0031 0.6100  3 Co 1.95-1.99, 1 Li 2.07
O 0.0156 0.0156 0.1154  1 Co 1.80
O 0.6763 0.6763 0.1025  3 Co 1.95-1.96, 1 Li 2.14
O 0.3308 0.3308 0.3792  3 Co 2.00-2.04, 3 Li 2.07-2.10
O 0.9969 0.9969 0.3900  3 Co 1.95-1.99, 1 Li 2.07
O 0.9844 0.9844 0.8846  1 Co 1.80
Co 0.1632 0.1632 0.0007  6 O 1.80-1.96
Co 0.8334 0.8334 0.5015  6 O 1.99-2.04
Co 0.5000 0.5000 0.5000  6 O 1.94-1.95
Co 0.1666 0.1666 0.4985  6 O 1.99-2.04
Co 0.8368 0.8368 0.9993  6 O 1.80-1.96


Question: Which formula does entry 4 have?
Answer: Li9Mn2Co5O16


Question: Look up the energy of formation of the fifth one.
Answer: -166.1 kJ/mol of atoms